No. 1
The following is a DFT calculation (r²SCAN) of an optimized crystal structure of LaGe.

a = 4.1474 Å, b = 6.1092 Å, c = 8.5163 Å
α = 90.00°, β = 90.00°, γ = 90.00°
Element x y z (fractional)
Ge 0.7500 0.3684 0.9634
Ge 0.2500 0.8684 0.5366
Ge 0.7500 0.1316 0.4634
Ge 0.2500 0.6316 0.0366
La 0.2500 0.1170 0.1818
La 0.7500 0.6170 0.3182
La 0.2500 0.3830 0.6818
La 0.7500 0.8830 0.8182

Summary:
Magnetization = 0.00 μB per formula unit
Calculated formation energy = -0.93 eV/atom

***

No. 2
The following is a DFT calculation (r²SCAN) of an optimized crystal structure of LiLaGe2.

a = 4.0104 Å, b = 7.9098 Å, c = 10.8915 Å
α = 90.00°, β = 90.00°, γ = 90.00°
Element x y z (fractional)
Li 0.2500 0.4926 0.1109
Li 0.2500 0.9926 0.3891
Li 0.7500 0.0074 0.6109
Li 0.7500 0.5074 0.8891
La 0.7500 0.8610 0.1342
La 0.7500 0.3610 0.3658
La 0.2500 0.1390 0.8658
La 0.2500 0.6390 0.6342
Ge 0.7500 0.2813 0.0699
Ge 0.7500 0.7813 0.4301
Ge 0.2500 0.1604 0.1815
Ge 0.2500 0.2187 0.5699
Ge 0.7500 0.8396 0.8184
Ge 0.2500 0.6604 0.3185
Ge 0.7500 0.3396 0.6816
Ge 0.2500 0.7187 0.9301

Summary:
Magnetization = 0.00 μB per formula unit
Calculated formation energy = -0.79 eV/atom

***

No. 3
The following is a DFT calculation (r²SCAN) of an optimized crystal structure of LaMn2Ge2.

a = 6.3446 Å, b = 6.3446 Å, c = 6.3446 Å
α = 140.96°, β = 140.96°, γ = 56.40°
Element x y z (fractional)
La 0.0000 0.0000 0.0000
Ge 0.3830 0.3830 0.0000
Ge 0.6170 0.6170 0.0000
Mn 0.7500 0.2500 0.5000
Mn 0.2500 0.7500 0.5000

Summary:
Magnetization = 7.89 μB per formula unit
Calculated formation energy = -0.67 eV/atom

***

No. 4
The following is a DFT calculation (r²SCAN) of an optimized crystal structure of La5Ge3O.

a = 8.9821 Å, b = 8.9821 Å, c = 6.7399 Å
α = 90.00°, β = 90.00°, γ = 120.00°
Element x y z (fractional)
O 0.0000 0.0000 0.5000
O 0.0000 0.0000 0.0000
La 0.3333 0.6667 0.5000
La 0.7709 0.0000 0.2500
La 0.2291 0.2291 0.2500
La 0.2291 0.0000 0.7500
La 0.6667 0.3333 0.0000
La 0.0000 0.2291 0.7500
La 0.3333 0.6667 0.0000
La 0.6667 0.3333 0.5000
La 0.7709 0.7709 0.7500
La 0.0000 0.7709 0.2500
Ge 0.6022 0.6022 0.2500
Ge 0.6022 0.0000 0.7500
Ge 0.3978 0.3978 0.7500
Ge 0.0000 0.3978 0.2500
Ge 0.3978 0.0000 0.2500
Ge 0.0000 0.6022 0.7500

Summary:
Magnetization = 0.00 μB per formula unit
Calculated formation energy = -1.42 eV/atom

***

No. 5
The following is a DFT calculation (r²SCAN) of an optimized crystal structure of LaGe3Os.

a = 5.9841 Å, b = 5.9841 Å, c = 5.9841 Å
α = 136.36°, β = 136.36°, γ = 63.43°
Element x y z (fractional)
Os 0.6587 0.6587 0.0000
Ge 0.7597 0.2597 0.5000
Ge 0.2597 0.7597 0.5000
Ge 0.4256 0.4256 0.0000
La 0.9983 0.9983 0.0000

Summary:
Magnetization = 0.00 μB per formula unit
Calculated formation energy = -0.58 eV/atom

***

No. 6
The following is a DFT calculation (r²SCAN) of an optimized crystal structure of La3Ge4Pd4.

a = 4.2506 Å, b = 4.3994 Å, c = 12.9376 Å
α = 99.79°, β = 99.45°, γ = 90.00°
Element x y z (fractional)
Ge 0.4501 0.4501 0.9001
Ge 0.5499 0.5499 0.0999
Ge 0.3028 0.8028 0.6057
Ge 0.6972 0.1972 0.3943
Pd 0.4027 0.9027 0.8054
Pd 0.2495 0.2495 0.4990
Pd 0.7505 0.7505 0.5010
Pd 0.5973 0.0973 0.1946
La 0.0000 0.0000 0.0000
La 0.8515 0.3515 0.7029
La 0.1485 0.6485 0.2971

Summary:
Magnetization = 0.00 μB per formula unit
Calculated formation energy = -0.98 eV/atom

***

No. 7
The following is a DFT calculation (r²SCAN) of an optimized crystal structure of LaGePt.

a = 8.1258 Å, b = 8.1258 Å, c = 8.1258 Å
α = 149.47°, β = 149.47°, γ = 43.73°
Element x y z (fractional)
La 0.7499 0.2499 0.5000
La 0.9999 0.9999 0.0000
Pt 0.3350 0.8350 0.5000
Pt 0.5850 0.5850 0.0000
Ge 0.1691 0.6691 0.5000
Ge 0.4191 0.4191 0.0000

Summary:
Magnetization = 0.00 μB per formula unit
Calculated formation energy = -1.23 eV/atom

***

No. 8
The following is a DFT calculation (r²SCAN) of an optimized crystal structure of LaGe12Pt4.

a = 7.4985 Å, b = 7.4985 Å, c = 7.4985 Å
α = 109.47°, β = 109.47°, γ = 109.47°
Element x y z (fractional)
Ge 0.2045 0.8491 0.3554
Ge 0.1509 0.3554 0.5063
Ge 0.4937 0.8491 0.6446
Ge 0.3554 0.2045 0.8491
Ge 0.7955 0.1509 0.6446
Ge 0.5063 0.1509 0.3554
Ge 0.8491 0.3554 0.2045
Ge 0.3554 0.5063 0.1509
Ge 0.6446 0.4937 0.8491
Ge 0.1509 0.6446 0.7955
Ge 0.8491 0.6446 0.4937
Ge 0.6446 0.7955 0.1509
Pt 0.5000 0.5000 0.5000
Pt 0.5000 0.0000 0.0000
Pt 0.0000 0.5000 0.0000
Pt 0.0000 0.0000 0.5000
La 0.0000 0.0000 0.0000

Summary:
Magnetization = 0.00 μB per formula unit
Calculated formation energy = -0.43 eV/atom